## Gd3Sb5O12 (GGA-PBE)

Data for crystalline Gd3Sb5O12 at its relaxed geometry.

Cell and atoms, written as POSCAR:
```
Gd3Sb5O12
1.0
-5.499 5.499 5.499
5.499 -5.499 5.499
5.499 5.499 -5.499
Gd O Sb
6 24 10
Cartesian
5.499 2.750 0.000 Gd
0.000 2.750 5.499 Gd
0.000 5.499 2.750 Gd
2.750 0.000 5.499 Gd
2.750 5.499 0.000 Gd
5.499 0.000 2.750 Gd
1.518 3.715 1.518 O
-1.103 4.343 1.103 O
3.981 -1.784 3.981 O
-1.103 1.103 4.343 O
6.656 1.103 1.103 O
-1.518 7.283 1.518 O
3.715 1.518 1.518 O
-1.518 1.518 7.283 O
1.518 7.283 -1.518 O
1.518 -1.518 7.283 O
1.518 1.518 3.715 O
4.343 1.103 -1.103 O
4.343 -1.103 1.103 O
-1.784 3.981 3.981 O
4.397 1.156 4.397 O
1.103 4.343 -1.103 O
1.103 -1.103 4.343 O
4.397 4.397 1.156 O
1.103 6.656 1.103 O
3.981 3.981 -1.784 O
1.156 4.397 4.397 O
7.283 -1.518 1.518 O
7.283 1.518 -1.518 O
1.103 1.103 6.656 O
-2.692 2.692 2.692 Sb
0.000 0.000 7.891 Sb
3.107 0.000 0.000 Sb
2.692 -2.692 2.692 Sb
2.692 2.692 -2.692 Sb
2.807 2.807 2.807 Sb
0.000 7.891 0.000 Sb
0.000 0.000 3.107 Sb
0.000 3.107 0.000 Sb
7.891 0.000 0.000 Sb
```

Values from the calculation:
Energy of formation from the pure elements (eV per atom): -2.6292
Density (g/cm³): 6.353
E (eV/cell): -333.2
Calculated volume (Å³/atom): 16.6
Energy with MP2020 corrections (eV for the cell shown): -349.67

## Ba4NdRu3O12 (GGA-PBE)

Data for crystalline Ba4NdRu3O12 at its relaxed geometry.

Cell and atoms, written as POSCAR:
```
Ba4NdRu3O12
1.0
2.995 5.191 0.000
-2.995 5.191 0.000
0.000 3.677 9.990
Ba Ru O Nd
4 3 12 1
Cartesian
0.000 10.469 3.918 Ba
0.000 3.466 1.530 Ba
0.000 3.589 6.072 Ba
0.000 10.592 8.460 Ba
0.000 7.029 4.995 Ru
0.000 6.917 2.443 Ru
0.000 7.142 7.547 Ru
1.388 7.785 3.712 O
1.401 6.042 1.422 O
-1.401 6.042 1.422 O
-1.388 6.273 6.278 O
1.388 6.273 6.278 O
1.401 8.017 8.568 O
0.000 5.611 8.737 O
-1.401 8.017 8.568 O
0.000 5.374 3.821 O
-1.388 7.785 3.712 O
0.000 8.448 1.253 O
0.000 8.684 6.169 O
0.000 0.000 0.000 Nd
```

Values from the calculation:
Energy of formation from the pure elements (eV per atom): -2.4740
Density (g/cm³): 6.354
E (eV/cell): -140.9
Calculated volume (Å³/atom): 15.5
Energy with MP2020 corrections (eV for the cell shown): -149.12

## CsMg6Fe (GGA-PBE)

Data for crystalline CsMg6Fe at its relaxed geometry.

Cell and atoms, written as POSCAR:
```
CsMg6Fe
1.0
3.037 -9.051 0.000
3.037 9.051 0.000
0.000 0.000 4.920
Mg Fe Cs
6 1 1
Cartesian
1.485 0.865 0.000 Mg
4.590 0.865 0.000 Mg
3.037 7.269 0.000 Mg
1.588 -1.190 2.460 Mg
3.037 -2.361 0.000 Mg
4.486 -1.190 2.460 Mg
3.037 -8.145 2.460 Fe
3.037 3.887 2.460 Cs
```

Values from the calculation:
Energy of formation from the pure elements (eV per atom): 0.3982
Density (g/cm³): 2.054
E (eV/cell): -15.8
E above lowest polymorph (meV/atom): 0
Calculated volume (Å³/atom): 33.8